SiO2 | GGA-PBE | relaxed

Properties
Formation enthalpy at 0 K = -9.75 eV/f.u.

Cell lengths 10.3255, 12.6671, 21.8879 Å; angles 90.00, 90.00, 90.00 degrees
Space group Imma (No. 74)
Inequivalent atoms, fractional coordinates:
Si: 0.0000 0.0586 0.1569 [8 per cell]
Si: 0.0000 0.1248 0.2930 [8 per cell]
Si: 0.0000 0.1252 0.9331 [8 per cell]
Si: 0.2184 0.0000 0.0000 [8 per cell]
Si: 0.2215 0.1286 0.3888 [16 per cell]
O: 0.0000 0.0553 0.2309 [8 per cell]
O: 0.0000 0.0627 0.8680 [8 per cell]
O: 0.0000 0.2500 0.2753 [4 per cell]
O: 0.0000 0.2500 0.9187 [4 per cell]
O: 0.1273 0.1204 0.1317 [16 per cell]
O: 0.1294 0.0950 0.3318 [16 per cell]
O: 0.1285 0.0950 0.9726 [16 per cell]
O: 0.1907 0.2500 0.4089 [8 per cell]
O: 0.1917 0.0502 0.4463 [16 per cell]


Eu2ZnHg | GGA-PBE | relaxed

Properties
Formation enthalpy at 0 K = -1.64 eV/f.u.

Cell lengths 7.6830, 7.6830, 7.6830 Å; angles 90.00, 90.00, 90.00 degrees
Space group Fm-3m (No. 225)
Inequivalent atoms, fractional coordinates:
Eu: 0.2500 0.2500 0.2500 [8 per cell]
Zn: 0.0000 0.0000 0.0000 [4 per cell]
Hg: 0.0000 0.0000 0.5000 [4 per cell]


YTa3O9 | GGA-PBE | relaxed

Properties
E above lowest polymorph = 0.000 eV/atom
Formation enthalpy at 0 K = -45.66 eV/f.u.

Cell lengths 5.3176, 7.5444, 8.3182 Å; angles 90.00, 92.62, 90.00 degrees
Space group P2_1/m (No. 11)
Inequivalent atoms, fractional coordinates:
Y: 0.0368 0.2500 0.4353 [2 per cell]
Ta: 0.0000 0.0000 0.0000 [2 per cell]
Ta: 0.4698 0.0061 0.6955 [4 per cell]
O: 0.0907 0.2500 0.9788 [2 per cell]
O: 0.1490 0.5637 0.7849 [4 per cell]
O: 0.2577 0.5413 0.4680 [4 per cell]
O: 0.3246 0.5503 0.1215 [4 per cell]
O: 0.3406 0.2500 0.6561 [2 per cell]
O: 0.4232 0.2500 0.3157 [2 per cell]


Ni12Mo18P7 | GGA-PBE | relaxed

Properties
Formation enthalpy at 0 K = -9.76 eV/f.u.
M_tot = 0.000 μB per atom

Cell lengths 7.7403, 7.7403, 18.8360 Å; angles 90.00, 90.00, 120.00 degrees
Space group P3m1 (No. 156)
Inequivalent atoms, fractional coordinates:
Ni: 0.0000 0.0000 0.0000 [1 per cell]
Ni: 0.0000 0.0000 0.4105 [1 per cell]
Ni: 0.1072 0.2143 0.3033 [3 per cell]
Ni: 0.1159 0.5580 0.9700 [3 per cell]
Ni: 0.2136 0.1068 0.1097 [3 per cell]
Ni: 0.2249 0.4499 0.7735 [3 per cell]
Ni: 0.3333 0.6667 0.0757 [1 per cell]
Ni: 0.3333 0.6667 0.6647 [1 per cell]
Ni: 0.4499 0.2249 0.6356 [3 per cell]
Ni: 0.5573 0.1147 0.4367 [3 per cell]
Ni: 0.6667 0.3333 0.3334 [1 per cell]
Ni: 0.6667 0.3333 0.7445 [1 per cell]
Mo: 0.0898 0.5449 0.3046 [3 per cell]
Mo: 0.0931 0.5466 0.5545 [3 per cell]
Mo: 0.1195 0.2390 0.8901 [3 per cell]
Mo: 0.1396 0.2792 0.6492 [3 per cell]
Mo: 0.2116 0.4233 0.1859 [3 per cell]
Mo: 0.2146 0.4291 0.4351 [3 per cell]
Mo: 0.2374 0.1187 0.7708 [3 per cell]
Mo: 0.2820 0.1410 0.5080 [3 per cell]
Mo: 0.3832 0.1916 0.9836 [3 per cell]
Mo: 0.4267 0.2133 0.2245 [3 per cell]
Mo: 0.5262 0.0524 0.8434 [3 per cell]
Mo: 0.5450 0.0901 0.1074 [3 per cell]
P: 0.0000 0.0000 0.2065 [1 per cell]
P: 0.0000 0.0000 0.5780 [1 per cell]
P: 0.1680 0.3360 0.0419 [3 per cell]
P: 0.3333 0.6667 0.8737 [1 per cell]
P: 0.3340 0.1670 0.3680 [3 per cell]
P: 0.5017 0.0034 0.7040 [3 per cell]
P: 0.6667 0.3333 0.5371 [1 per cell]
P: 0.6667 0.3333 0.9144 [1 per cell]